Ce2Zn2Ni5 (PBE, relaxed); E_form = -3.25 eV per formula unit; space group = No. 166
1.0
2.518 1.453 12.435
-2.518 1.453 12.435
0.000 -2.907 12.435
Ce Zn Ni
4 4 10
Cartesian
0.000 0.000 2.127
0.000 0.000 5.436
0.000 0.000 31.869
0.000 0.000 35.178
-1.259 -0.727 12.435
-1.259 0.727 24.870
0.000 1.453 12.435
0.000 0.000 18.652
-1.263 -0.729 16.546
0.000 0.000 10.331
0.000 0.000 14.527
0.000 -1.459 20.759
-1.263 0.729 20.759
1.263 -0.729 16.546
0.000 1.459 16.546
0.000 0.000 22.778
0.000 0.000 26.974
1.263 0.729 20.759